[1]
This record from the Materials Project describes an optimized crystal structure of CaCu3W4O12. The functional is PBE+U.

Cell: 6.694 6.700 6.707 Å, 109.43 109.50 109.37°
Sites, in units of the cell vectors:
Ca  0.000  0.000  0.000
Cu  0.000  0.500  0.500
Cu  0.500  0.000  0.500
Cu  0.500  0.500  0.000
W  0.000  0.000  0.500
W  0.000  0.500  0.000
W  0.500  0.000  0.000
W  0.500  0.500  0.500
O  0.116  0.284  0.809
O  0.177  0.476  0.299
O  0.177  0.877  0.701
O  0.297  0.175  0.474
O  0.298  0.822  0.118
O  0.472  0.282  0.168
O  0.528  0.718  0.832
O  0.702  0.178  0.882
O  0.703  0.825  0.526
O  0.823  0.123  0.299
O  0.823  0.524  0.701
O  0.884  0.716  0.191

## Properties
space-group type	P-1
volume	232	Å³/cell
calculated total energy	-6.81	eV/atom



[2]
This record from the Materials Project describes an optimized crystal structure of CaDyFe4O12. The functional is PBE+U.

Cell: 7.598 5.340 5.340 Å, 89.39 90.00 90.00°
Sites, in units of the cell vectors:
Ca  0.000  0.000  0.000
Dy  0.500  0.457  0.457
Fe  0.249  0.485  0.975
Fe  0.249  0.975  0.485
Fe  0.751  0.485  0.975
Fe  0.751  0.975  0.485
O  0.000  0.518  0.950
O  0.000  0.950  0.518
O  0.232  0.261  0.261
O  0.249  0.201  0.761
O  0.249  0.761  0.201
O  0.296  0.688  0.688
O  0.500  0.027  0.461
O  0.500  0.461  0.027
O  0.704  0.688  0.688
O  0.751  0.201  0.761
O  0.751  0.761  0.201
O  0.768  0.261  0.261

## Properties
space-group type	Amm2
volume	217	Å³/cell
calculated total energy	-6.24	eV/atom



[3]
This record from the Materials Project describes an optimized crystal structure of Ca2DyFeO6. The functional is PBE+U.

Cell: 5.687 5.687 5.687 Å, 60.00 60.00 60.00°
Sites, in units of the cell vectors:
Ca  0.250  0.250  0.250
Ca  0.750  0.750  0.750
Dy  0.000  0.000  0.000
Fe  0.500  0.500  0.500
O  0.269  0.269  0.731
O  0.269  0.731  0.269
O  0.269  0.731  0.731
O  0.731  0.269  0.269
O  0.731  0.269  0.731
O  0.731  0.731  0.269

## Properties
space-group type	Fm-3m
volume	130	Å³/cell
calculated total energy	-6.63	eV/atom



[4]
This record from the Materials Project describes an optimized crystal structure of SrCaDyFeO6. The functional is PBE+U.

Cell: 5.719 5.719 5.719 Å, 60.00 60.00 60.00°
Sites, in units of the cell vectors:
Sr  0.000  0.000  0.000
Ca  0.500  0.500  0.500
Dy  0.250  0.250  0.250
Fe  0.750  0.750  0.750
O  0.519  0.519  0.981
O  0.519  0.981  0.519
O  0.519  0.981  0.981
O  0.981  0.519  0.519
O  0.981  0.519  0.981
O  0.981  0.981  0.519

## Properties
space-group type	F-43m
volume	132	Å³/cell
calculated total energy	-6.65	eV/atom



[5]
This record from the Materials Project describes an optimized crystal structure of NaCaDyMnO6. The functional is PBE+U.

Cell: 5.761 5.761 5.761 Å, 60.00 60.00 60.00°
Sites, in units of the cell vectors:
Na  0.000  0.000  0.000
Ca  0.500  0.500  0.500
Dy  0.750  0.750  0.750
Mn  0.250  0.250  0.250
O  0.019  0.019  0.481
O  0.019  0.481  0.019
O  0.019  0.481  0.481
O  0.481  0.019  0.019
O  0.481  0.019  0.481
O  0.481  0.481  0.019

## Properties
space-group type	F-43m
volume	135	Å³/cell
calculated total energy	-6.43	eV/atom



[6]
This record from the Materials Project describes an optimized crystal structure of Ca2DyMnO6. The functional is PBE+U.

Cell: 5.742 5.742 5.742 Å, 60.00 60.00 60.00°
Sites, in units of the cell vectors:
Ca  0.250  0.250  0.250
Ca  0.750  0.750  0.750
Dy  0.000  0.000  0.000
Mn  0.500  0.500  0.500
O  0.268  0.268  0.732
O  0.268  0.732  0.268
O  0.268  0.732  0.732
O  0.732  0.268  0.268
O  0.732  0.268  0.732
O  0.732  0.732  0.268

## Properties
space-group type	Fm-3m
volume	134	Å³/cell
calculated total energy	-6.90	eV/atom



[7]
This record from the Materials Project describes an optimized crystal structure of CaDyMn4O12. The functional is PBE+U.

Cell: 7.496 5.302 5.302 Å, 88.67 90.00 90.00°
Sites, in units of the cell vectors:
Ca  0.000  0.000  0.000
Dy  0.500  0.461  0.461
Mn  0.248  0.486  0.980
Mn  0.248  0.980  0.486
Mn  0.752  0.486  0.980
Mn  0.752  0.980  0.486
O  0.000  0.543  0.933
O  0.000  0.933  0.543
O  0.213  0.284  0.284
O  0.254  0.191  0.781
O  0.254  0.781  0.191
O  0.304  0.688  0.688
O  0.500  0.041  0.448
O  0.500  0.448  0.041
O  0.696  0.688  0.688
O  0.746  0.191  0.781
O  0.746  0.781  0.191
O  0.787  0.284  0.284

## Properties
space-group type	Amm2
volume	211	Å³/cell
calculated total energy	-6.81	eV/atom



[8]
This record from the Materials Project describes an optimized crystal structure of CaDyMnSnO6. The functional is PBE+U.

Cell: 5.735 5.735 5.735 Å, 60.00 60.00 60.00°
Sites, in units of the cell vectors:
Ca  0.000  0.000  0.000
Dy  0.750  0.750  0.750
Mn  0.250  0.250  0.250
Sn  0.500  0.500  0.500
O  0.018  0.018  0.482
O  0.018  0.482  0.018
O  0.018  0.482  0.482
O  0.482  0.018  0.018
O  0.482  0.018  0.482
O  0.482  0.482  0.018

## Properties
space-group type	F-43m
volume	133	Å³/cell
calculated total energy	-6.71	eV/atom



[9]
This record from the Materials Project describes an optimized crystal structure of CaDyMnSnO6. The functional is PBE+U.

Cell: 5.489 5.533 8.615 Å, 91.14 94.61 91.80°
Sites, in units of the cell vectors:
Ca  0.000  0.000  0.000
Ca  0.500  0.500  0.500
Dy  0.023  0.558  0.726
Dy  0.977  0.442  0.274
Mn  0.000  0.000  0.500
Mn  0.500  0.500  0.000
Sn  0.486  0.053  0.778
Sn  0.514  0.947  0.222
O  0.145  0.311  0.545
O  0.188  0.099  0.239
O  0.237  0.297  0.890
O  0.287  0.848  0.604
O  0.332  0.790  0.925
O  0.352  0.610  0.246
O  0.648  0.390  0.754
O  0.668  0.210  0.075
O  0.713  0.152  0.396
O  0.763  0.703  0.110
O  0.812  0.901  0.761
O  0.855  0.689  0.455

## Properties
space-group type	P-1
volume	261	Å³/cell
calculated total energy	-7.11	eV/atom



[10]
This record from the Materials Project describes an optimized crystal structure of CaDyMnSnO6. The functional is PBE+U.

Cell: 5.461 5.828 9.420 Å, 90.00 125.05 90.00°
Sites, in units of the cell vectors:
Ca  0.000  0.191  0.000
Ca  0.000  0.809  0.500
Dy  0.538  0.327  0.504
Dy  0.538  0.673  0.004
Mn  0.267  0.246  0.751
Mn  0.267  0.754  0.251
Sn  0.765  0.239  0.251
Sn  0.765  0.761  0.751
O  0.147  0.208  0.510
O  0.147  0.792  0.010
O  0.401  0.293  0.992
O  0.401  0.707  0.492
O  0.517  0.072  0.315
O  0.517  0.928  0.815
O  0.608  0.448  0.802
O  0.608  0.552  0.302
O  0.901  0.070  0.697
O  0.901  0.930  0.197
O  0.997  0.443  0.193
O  0.997  0.557  0.693

## Properties
space-group type	Pc
volume	245	Å³/cell
calculated total energy	-7.19	eV/atom



[11]
This record from the Materials Project describes an optimized crystal structure of CaDyMnSnO6. The functional is PBE+U.

Cell: 5.661 5.661 5.661 Å, 60.00 60.00 60.00°
Sites, in units of the cell vectors:
Ca  0.000  0.000  0.000
Dy  0.750  0.750  0.750
Mn  0.500  0.500  0.500
Sn  0.250  0.250  0.250
O  0.268  0.268  0.732
O  0.268  0.732  0.268
O  0.268  0.732  0.732
O  0.732  0.268  0.268
O  0.732  0.268  0.732
O  0.732  0.732  0.268

## Properties
space-group type	F-43m
volume	128	Å³/cell
calculated total energy	-6.55	eV/atom



[12]
This record from the Materials Project describes an optimized crystal structure of SrCaDyMnO6. The functional is PBE+U.

Cell: 5.779 5.779 5.779 Å, 60.00 60.00 60.00°
Sites, in units of the cell vectors:
Sr  0.000  0.000  0.000
Ca  0.500  0.500  0.500
Dy  0.250  0.250  0.250
Mn  0.750  0.750  0.750
O  0.518  0.518  0.982
O  0.518  0.982  0.518
O  0.518  0.982  0.982
O  0.982  0.518  0.518
O  0.982  0.518  0.982
O  0.982  0.982  0.518

## Properties
space-group type	F-43m
volume	136	Å³/cell
calculated total energy	-6.92	eV/atom